Ba3SrY8Cu4O20 | PBE-GGA | optimized geometry

E (MP2020)	-7.9045	eV per atom
V	13.99	A^3/atom

```
data_Ba3SrY8Cu4O20
_chemical_formula_sum 'Ba3 Sr1 Y8 Cu4 O20'
_cell_length_a 7.236
_cell_length_b 5.696
_cell_length_c 12.221
_cell_angle_alpha 90.00
_cell_angle_beta 90.11
_cell_angle_gamma 90.00
_symmetry_space_group_name_H-M 'P 1 m 1'
_symmetry_Int_Tables_number 6
loop_
_symmetry_equiv_pos_as_xyz
'x,y,z'
'x,-y,z'
loop_
_atom_site_label
_atom_site_fract_x
_atom_site_fract_y
_atom_site_fract_z
_atom_site_occupancy
Ba1 0.000 0.000 0.000 1
Ba2 0.139 0.500 0.810 1
Ba3 0.638 0.000 0.499 1
Sr1 0.495 0.500 0.313 1
Y1 0.175 0.000 0.331 1
Y2 0.182 0.000 0.617 1
Y3 0.457 0.000 0.119 1
Y4 0.465 0.000 0.831 1
Y5 0.672 0.500 0.980 1
Y6 0.682 0.500 0.691 1
Y7 0.955 0.500 0.193 1
Y8 0.964 0.500 0.478 1
Cu1 0.290 0.500 0.068 1
Cu2 0.351 0.500 0.565 1
Cu3 0.787 0.000 0.245 1
Cu4 0.851 0.000 0.743 1
O1 0.152 0.000 0.805 1
O2 0.219 0.257 0.180 1
O3 0.233 0.257 0.472 1
O4 0.406 0.256 0.973 1
O5 0.424 0.254 0.677 1
O6 0.488 0.000 0.306 1
O7 0.647 0.500 0.498 1
O8 0.713 0.248 0.135 1
O9 0.732 0.244 0.837 1
O10 0.908 0.243 0.337 1
O11 0.923 0.247 0.632 1
O12 0.985 0.500 0.005 1
```

---

Ba2Tb2Ti2Cu2O11 | PBE-GGA | optimized geometry

E (MP2020)	-7.8458	eV per atom
V	12.82	A^3/atom

```
data_Ba2Tb2Ti2Cu2O11
_chemical_formula_sum 'Ba2 Tb2 Ti2 Cu2 O11'
_cell_length_a 3.907
_cell_length_b 3.907
_cell_length_c 15.956
_cell_angle_alpha 90.00
_cell_angle_beta 90.00
_cell_angle_gamma 90.00
_symmetry_space_group_name_H-M 'P 4/m m m'
_symmetry_Int_Tables_number 123
_symmetry_space_group_name_Hall '-P 4 2'
loop_
_atom_site_label
_atom_site_fract_x
_atom_site_fract_y
_atom_site_fract_z
_atom_site_occupancy
Ba1 0.000 0.000 0.233 1
Tb1 0.000 0.000 0.000 1
Tb2 0.000 0.000 0.500 1
Ti1 0.500 0.500 0.377 1
Cu1 0.500 0.500 0.102 1
O1 0.000 0.500 0.091 1
O2 0.000 0.500 0.391 1
O3 0.500 0.500 0.259 1
O4 0.500 0.500 0.500 1
```

---

Ba2CuTeO2 | PBE-GGA | optimized geometry

E (MP2020)	-5.4022	eV per atom
V	23.18	A^3/atom

```
data_Ba2CuTeO2
_chemical_formula_sum 'Ba2 Cu1 Te1 O2'
_cell_length_a 4.142
_cell_length_b 4.142
_cell_length_c 8.105
_cell_angle_alpha 90.00
_cell_angle_beta 90.00
_cell_angle_gamma 90.00
_symmetry_space_group_name_H-M 'P 4/m m m'
_symmetry_Int_Tables_number 123
_symmetry_space_group_name_Hall '-P 4 2'
loop_
_atom_site_label
_atom_site_fract_x
_atom_site_fract_y
_atom_site_fract_z
_atom_site_occupancy
Ba1 0.000 0.000 0.221 1
Cu1 0.500 0.500 0.000 1
Te1 0.500 0.500 0.500 1
O1 0.000 0.500 0.000 1
```

---

Ba2YTlCu2O7 | PBE-GGA | optimized geometry

E (MP2020)	-6.4855	eV per atom
V	14.82	A^3/atom

```
data_Ba2YTlCu2O7
_chemical_formula_sum 'Ba2 Y1 Tl1 Cu2 O7'
_cell_length_a 3.878
_cell_length_b 3.878
_cell_length_c 12.810
_cell_angle_alpha 90.00
_cell_angle_beta 90.00
_cell_angle_gamma 90.00
_symmetry_space_group_name_H-M 'P 4/m m m'
_symmetry_Int_Tables_number 123
_symmetry_space_group_name_Hall '-P 4 2'
loop_
_atom_site_label
_atom_site_fract_x
_atom_site_fract_y
_atom_site_fract_z
_atom_site_occupancy
Ba1 0.000 0.000 0.207 1
Y1 0.000 0.000 0.500 1
Tl1 0.500 0.500 0.000 1
Cu1 0.500 0.500 0.375 1
O1 0.000 0.000 0.000 1
O2 0.000 0.500 0.388 1
O3 0.500 0.500 0.165 1
```

---

Ba2TmCu3O7 | PBE-GGA | optimized geometry

E (MP2020)	-6.4461	eV per atom
V	13.55	A^3/atom

```
data_Ba2TmCu3O7
_chemical_formula_sum 'Ba2 Tm1 Cu3 O7'
_cell_length_a 3.822
_cell_length_b 3.926
_cell_length_c 11.738
_cell_angle_alpha 90.00
_cell_angle_beta 90.00
_cell_angle_gamma 90.00
_symmetry_space_group_name_H-M 'P m m m'
_symmetry_Int_Tables_number 47
loop_
_symmetry_equiv_pos_as_xyz
'x,y,z'
'-x,-y,-z'
'-x,-y,z'
'x,y,-z'
'x,-y,-z'
'-x,y,z'
'-x,y,-z'
'x,-y,z'
loop_
_atom_site_label
_atom_site_fract_x
_atom_site_fract_y
_atom_site_fract_z
_atom_site_occupancy
Ba1 0.000 0.000 0.182 1
Tm1 0.000 0.000 0.500 1
Cu1 0.500 0.500 0.000 1
Cu2 0.500 0.500 0.356 1
O1 0.000 0.500 0.382 1
O2 0.500 0.000 0.000 1
O3 0.500 0.000 0.381 1
O4 0.500 0.500 0.162 1
```

---

Ba2TmCu4O8 | PBE-GGA | optimized geometry

E (MP2020)	-6.3528	eV per atom
V	13.76	A^3/atom

```
data_Ba2TmCu4O8
_chemical_formula_sum 'Ba4 Tm2 Cu8 O16'
_cell_length_a 3.887
_cell_length_b 27.466
_cell_length_c 3.865
_cell_angle_alpha 90.00
_cell_angle_beta 90.00
_cell_angle_gamma 90.00
_symmetry_space_group_name_H-M 'C m m m'
_symmetry_Int_Tables_number 65
_symmetry_space_group_name_Hall '-C 2 2'
loop_
_atom_site_label
_atom_site_fract_x
_atom_site_fract_y
_atom_site_fract_z
_atom_site_occupancy
Ba1 0.000 0.135 0.000 1
Tm1 0.000 0.000 0.000 1
Cu1 0.000 0.287 0.500 1
Cu2 0.000 0.440 0.500 1
O1 0.000 0.051 0.500 1
O2 0.000 0.218 0.500 1
O3 0.000 0.355 0.500 1
O4 0.000 0.449 0.000 1
```

---

Ba2UCuO6 | PBE-GGA | optimized geometry

E (MP2020)	-7.8808	eV per atom
V	15.32	A^3/atom

```
data_Ba2UCuO6
_chemical_formula_sum 'Ba4 U2 Cu2 O12'
_cell_length_a 5.826
_cell_length_b 5.826
_cell_length_c 9.027
_cell_angle_alpha 90.00
_cell_angle_beta 90.00
_cell_angle_gamma 90.00
_symmetry_space_group_name_H-M 'I 4/m'
_symmetry_Int_Tables_number 87
_symmetry_space_group_name_Hall '-I 4'
loop_
_atom_site_label
_atom_site_fract_x
_atom_site_fract_y
_atom_site_fract_z
_atom_site_occupancy
Ba1 0.000 0.500 0.250 1
U1 0.000 0.000 0.000 1
Cu1 0.000 0.000 0.500 1
O1 0.000 0.000 0.226 1
O2 0.226 0.263 0.500 1
```

---

Ba2UCuO6 | PBE-GGA | optimized geometry

E (MP2020)	-7.8805	eV per atom
V	15.40	A^3/atom

```
data_Ba2UCuO6
_chemical_formula_sum 'Ba4 U2 Cu2 O12'
_cell_length_a 5.808
_cell_length_b 5.808
_cell_length_c 9.132
_cell_angle_alpha 90.00
_cell_angle_beta 90.00
_cell_angle_gamma 90.00
_symmetry_space_group_name_H-M 'I 4/m m m'
_symmetry_Int_Tables_number 139
_symmetry_space_group_name_Hall '-I 4 2'
loop_
_atom_site_label
_atom_site_fract_x
_atom_site_fract_y
_atom_site_fract_z
_atom_site_occupancy
Ba1 0.000 0.500 0.250 1
U1 0.000 0.000 0.000 1
Cu1 0.000 0.000 0.500 1
O1 0.000 0.000 0.224 1
O2 0.243 0.243 0.500 1
```

---

Ba2UCuO6 | PBE-GGA | optimized geometry

E (MP2020)	-7.5402	eV per atom
V	21.52	A^3/atom

```
data_Ba2UCuO6
_chemical_formula_sum 'Ba4 U2 Cu2 O12'
_cell_length_a 7.307
_cell_length_b 7.307
_cell_length_c 8.061
_cell_angle_alpha 90.00
_cell_angle_beta 90.00
_cell_angle_gamma 90.00
_symmetry_space_group_name_H-M 'I 4/m m m'
_symmetry_Int_Tables_number 139
_symmetry_space_group_name_Hall '-I 4 2'
loop_
_atom_site_label
_atom_site_fract_x
_atom_site_fract_y
_atom_site_fract_z
_atom_site_occupancy
Ba1 0.000 0.500 0.000 1
U1 0.000 0.000 0.000 1
Cu1 0.000 0.000 0.500 1
O1 0.000 0.000 0.281 1
O2 0.196 0.196 0.000 1
```

---

Ba10Y5Cu15O34 | PBE-GGA | optimized geometry

E (MP2020)	-6.4564	eV per atom
V	14.64	A^3/atom

```
data_Ba10Y5Cu15O34
_chemical_formula_sum 'Ba10 Y5 Cu15 O34'
_cell_length_a 8.351
_cell_length_b 8.937
_cell_length_c 13.269
_cell_angle_alpha 73.61
_cell_angle_beta 81.23
_cell_angle_gamma 84.27
_symmetry_space_group_name_H-M 'P -1'
_symmetry_Int_Tables_number 2
loop_
_symmetry_equiv_pos_as_xyz
'x,y,z'
'-x,-y,-z'
loop_
_atom_site_label
_atom_site_fract_x
_atom_site_fract_y
_atom_site_fract_z
_atom_site_occupancy
Ba1 0.034 0.058 0.337 1
Ba2 0.168 0.332 0.662 1
Ba3 0.236 0.470 0.337 1
Ba4 0.371 0.738 0.663 1
Ba5 0.431 0.864 0.340 1
Y1 0.085 0.183 0.000 1
Y2 0.300 0.613 0.000 1
Y3 0.500 0.000 0.000 1
Cu1 0.031 0.563 0.844 1
Cu2 0.095 0.690 0.522 1
Cu3 0.167 0.856 0.146 1
Cu4 0.226 0.974 0.852 1
Cu5 0.298 0.100 0.498 1
Cu6 0.385 0.238 0.141 1
Cu7 0.441 0.351 0.860 1
Cu8 0.500 0.500 0.500 1
O1 0.000 0.500 0.500 1
O2 0.062 0.626 0.689 1
O3 0.066 0.626 0.113 1
O4 0.100 0.203 0.509 1
O5 0.112 0.718 0.886 1
O6 0.147 0.782 0.287 1
O7 0.151 0.920 0.999 1
O8 0.201 0.910 0.502 1
O9 0.263 0.014 0.711 1
O10 0.276 0.062 0.122 1
O11 0.302 0.607 0.490 1
O12 0.325 0.159 0.878 1
O13 0.333 0.189 0.284 1
O14 0.404 0.306 0.498 1
O15 0.446 0.417 0.717 1
O16 0.477 0.452 0.119 1
O17 0.500 0.000 0.500 1
O18 0.500 0.250 0.001 1
```

---

Ba2YCu4O8 | PBE-GGA | optimized geometry

E (MP2020)	-6.4720	eV per atom
V	13.91	A^3/atom

```
data_Ba2YCu4O8
_chemical_formula_sum 'Ba4 Y2 Cu8 O16'
_cell_length_a 3.900
_cell_length_b 27.504
_cell_length_c 3.890
_cell_angle_alpha 90.00
_cell_angle_beta 90.00
_cell_angle_gamma 90.00
_symmetry_space_group_name_H-M 'C m m m'
_symmetry_Int_Tables_number 65
_symmetry_space_group_name_Hall '-C 2 2'
loop_
_atom_site_label
_atom_site_fract_x
_atom_site_fract_y
_atom_site_fract_z
_atom_site_occupancy
Ba1 0.000 0.136 0.000 1
Y1 0.000 0.000 0.000 1
Cu1 0.000 0.287 0.500 1
Cu2 0.000 0.438 0.500 1
O1 0.000 0.052 0.500 1
O2 0.000 0.218 0.500 1
O3 0.000 0.355 0.500 1
O4 0.000 0.448 0.000 1
```

---

Ba2YCuO5 | PBE-GGA | optimized geometry

E (MP2020)	-6.8692	eV per atom
V	16.19	A^3/atom

```
data_Ba2YCuO5
_chemical_formula_sum 'Ba4 Y2 Cu2 O10'
_cell_length_a 6.038
_cell_length_b 6.038
_cell_length_c 7.991
_cell_angle_alpha 90.00
_cell_angle_beta 90.00
_cell_angle_gamma 90.00
_symmetry_space_group_name_H-M 'P 4/m m m'
_symmetry_Int_Tables_number 123
_symmetry_space_group_name_Hall '-P 4 2'
loop_
_atom_site_label
_atom_site_fract_x
_atom_site_fract_y
_atom_site_fract_z
_atom_site_occupancy
Ba1 0.000 0.500 0.248 1
Y1 0.000 0.000 0.000 1
Y2 0.500 0.500 0.500 1
Cu1 0.000 0.000 0.500 1
Cu2 0.500 0.500 0.000 1
O1 0.225 0.225 0.500 1
O2 0.250 0.250 0.000 1
O3 0.500 0.500 0.234 1
```

---

| no. | electronic total energy (eV for the cell shown) | formation energy from the elements (eV/atom) |
| --- | --- | --- |
| 1 | -270.823 | -3.06 |
| 2 | -141.513 | -3.03 |
| 3 | -31.039 | -1.91 |
| 4 | -79.502 | -2.22 |
| 5 | -78.990 | -2.20 |
| 6 | -179.591 | -2.07 |
| 7 | -149.372 | -2.99 |
| 8 | -149.367 | -2.99 |
| 9 | -142.561 | -2.65 |
| 10 | -389.850 | -2.06 |
| 11 | -183.168 | -2.05 |
| 12 | -116.775 | -2.52 |